No. 1
Compound: Li7Ti12Fe5O32
Source: the Materials Project database
Functional: GGA+U
Structure: relaxed

Geometry as POSCAR:
```
Li7Ti12Fe5O32
1.0
6.023 -6.033 0.000
6.023 6.033 0.000
-0.020 0.000 8.525
O Ti Li Fe
32 12 7 5
direct
0.362 0.860 0.639
0.623 0.147 0.641
0.612 0.612 0.612
0.641 0.623 0.147
0.892 0.106 0.376
0.396 0.626 0.391
0.857 0.144 0.876
0.358 0.123 0.355
0.391 0.396 0.626
0.355 0.358 0.123
0.388 0.112 0.888
0.860 0.639 0.362
0.128 0.108 0.606
0.376 0.892 0.106
0.860 0.376 0.646
0.874 0.609 0.894
0.112 0.888 0.388
0.138 0.138 0.138
0.108 0.606 0.128
0.144 0.876 0.857
0.626 0.391 0.396
0.106 0.376 0.892
0.606 0.128 0.108
0.888 0.388 0.112
0.639 0.362 0.860
0.147 0.641 0.623
0.123 0.355 0.358
0.894 0.874 0.609
0.609 0.894 0.874
0.376 0.646 0.860
0.876 0.857 0.144
0.646 0.860 0.376
0.368 0.621 0.628
0.136 0.383 0.127
0.865 0.877 0.375
0.375 0.865 0.877
0.123 0.868 0.627
0.383 0.127 0.136
0.627 0.123 0.868
0.877 0.375 0.865
0.621 0.628 0.368
0.868 0.627 0.123
0.127 0.136 0.383
0.628 0.368 0.621
0.376 0.376 0.376
0.498 0.998 0.502
0.625 0.875 0.125
0.998 0.502 0.498
0.502 0.498 0.998
0.125 0.625 0.875
0.875 0.125 0.625
0.751 0.251 0.251
0.000 0.000 0.000
0.749 0.749 0.749
0.251 0.751 0.251
0.251 0.251 0.751
```

## Properties
ΔH_f (0 K) = -164.05 eV per formula unit
DFT total energy = -7.850 eV per atom

---

No. 2
Compound: Li2TiFe2O5
Source: the Materials Project database
Functional: GGA+U
Structure: relaxed

Geometry as POSCAR:
```
Li2TiFe2O5
1.0
1.747 -4.710 -1.082
-7.601 -1.527 -1.495
-1.366 2.378 -4.351
Li Ti O Fe
4 2 10 4
direct
0.500 0.198 0.901
0.002 0.200 0.401
0.497 0.004 0.498
0.002 0.594 0.206
0.499 0.389 0.303
0.998 0.012 0.991
0.773 0.000 0.237
0.243 0.813 0.335
0.735 0.400 0.061
0.744 0.198 0.645
0.233 0.002 0.767
0.754 0.811 0.850
0.746 0.588 0.438
0.252 0.590 0.966
0.271 0.404 0.540
0.256 0.200 0.156
0.501 0.804 0.102
0.996 0.393 0.805
0.504 0.606 0.696
0.998 0.796 0.603
```

## Properties
ΔH_f (0 K) = -23.22 eV per formula unit
DFT total energy = -6.867 eV per atom